Entry 1:
BaFe2Br8: relaxed, PBE-GGA.

Computed properties:
DFT formation energy   -1.380 eV per atom
DFT total energy   -342.89 eV for the cell shown

Cell and atoms, written as CIF:
```
data_BaFe2Br8
_symmetry_space_group_name_H-M 'P b c a'
_symmetry_Int_Tables_number 61
_cell_length_a 11.513
_cell_length_b 22.272
_cell_length_c 13.487
_cell_angle_alpha 90.00
_cell_angle_beta 90.00
_cell_angle_gamma 90.00
loop_
_symmetry_equiv_pos_as_xyz
'x,y,z'
'-x,-y,-z'
'-x+1/2,-y,z+1/2'
'x+1/2,y,-z+1/2'
'x+1/2,-y+1/2,-z'
'-x+1/2,y+1/2,z'
'-x,y+1/2,-z+1/2'
'x,-y+1/2,z+1/2'
loop_
_atom_site_label
_atom_site_type_symbol
_atom_site_fract_x
_atom_site_fract_y
_atom_site_fract_z
Ba1 Ba 0.152 0.112 0.029
Fe1 Fe 0.111 0.747 0.470
Fe2 Fe 0.224 0.504 0.271
Br1 Br 0.046 0.238 0.142
Br2 Br 0.051 0.501 0.370
Br3 Br 0.090 0.673 0.083
Br4 Br 0.114 0.654 0.557
Br5 Br 0.162 0.574 0.837
Br6 Br 0.183 0.098 0.283
Br7 Br 0.184 0.009 0.601
Br8 Br 0.214 0.234 0.885
```

Entry 2:
NaHf8N8Cl8: relaxed, PBE-GGA.

Computed properties:
DFT formation energy   -2.011 eV per atom
DFT total energy   -207.82 eV for the cell shown

Cell and atoms, written as CIF:
```
data_NaHf8N8Cl8
_symmetry_space_group_name_H-M 'P 1 2/m 1'
_symmetry_Int_Tables_number 10
_cell_length_a 6.230
_cell_length_b 3.633
_cell_length_c 19.812
_cell_angle_alpha 90.00
_cell_angle_beta 95.82
_cell_angle_gamma 90.00
loop_
_symmetry_equiv_pos_as_xyz
'x,y,z'
'-x,-y,-z'
'-x,y,-z'
'x,-y,z'
loop_
_atom_site_label
_atom_site_type_symbol
_atom_site_fract_x
_atom_site_fract_y
_atom_site_fract_z
Na1 Na 0.000 0.000 0.000
Hf1 Hf 0.103 0.500 0.808
Hf2 Hf 0.106 0.000 0.321
Hf3 Hf 0.393 0.500 0.679
Hf4 Hf 0.400 0.000 0.194
N1 N 0.066 0.500 0.701
N2 N 0.070 0.000 0.210
N3 N 0.432 0.500 0.790
N4 N 0.434 0.000 0.300
Cl1 Cl 0.195 0.000 0.587
Cl2 Cl 0.197 0.500 0.091
Cl3 Cl 0.303 0.000 0.907
Cl4 Cl 0.304 0.500 0.413
```

no.,E (MP2020) (eV/atom),total moment (μB per formula unit)
1,-4.285,10.0
2,-8.509,0.0